1 | Computed, not measured: crystalline MgV12Zn6O24 at its relaxed geometry at the PBE with a Hubbard U level of DFT.

- Calculated volume: 11.2 Å³/atom
- Spin magnetization: 26.00 μB/cell
- Calculated density: 4.86 Mg/m³

The structure in POSCAR format:
```
MgV12Zn6O24
1.0
-2.3540 2.9638 -4.9159
-4.4687 -2.5483 -3.1167
-16.6994 6.9907 0.8574
Mg V Zn O
1 12 6 24
Cartesian
-12.3093 6.1211 -1.8976 Mg
-5.0183 -0.0946 -1.4193 V
-6.1848 1.3743 -3.8607 V
-10.6278 2.3116 -1.1517 V
-3.9673 2.6371 -2.3191 V
-8.9669 2.5406 -3.7550 V
-11.6893 3.7553 -3.7114 V
-18.4753 7.4726 -5.7347 V
-9.4806 5.0116 -2.1740 V
-15.1182 7.2529 -1.5942 V
-14.5081 4.8617 -3.5211 V
-17.4175 5.9503 -3.1922 V
-21.9645 7.0073 -6.1353 V
-1.6004 0.3256 -0.8868 Zn
-7.1138 2.7195 -0.7348 Zn
-3.4304 0.1905 -3.9605 Zn
-12.8432 4.7853 0.0269 Zn
-10.8124 2.4265 -6.8366 Zn
-16.3334 5.0658 -6.8384 Zn
-3.2581 0.7580 -1.9193 O
-5.7949 1.7969 -1.8757 O
-5.3684 -0.4480 -3.3983 O
-4.3442 2.1047 -4.2197 O
-8.1100 0.7228 -3.4948 O
-8.8306 3.0950 -1.7627 O
-7.0944 3.1938 -4.3124 O
-6.5769 0.9395 -5.8767 O
-10.8847 1.9537 -3.1657 O
-11.4046 4.2750 -1.6516 O
-9.1579 2.0391 -5.7313 O
-9.8191 4.4103 -4.0657 O
-13.5272 3.0477 -3.4403 O
-14.2212 5.2696 -1.4079 O
-12.5749 5.6621 -3.9972 O
-12.1693 3.3822 -5.6814 O
-16.9751 6.2960 -1.2244 O
-16.4347 4.0469 -2.9639 O
-14.8438 4.3691 -5.5801 O
-15.5450 6.6014 -3.5060 O
-19.2461 5.2477 -2.7197 O
-17.6307 5.5113 -5.2854 O
-18.1721 7.8466 -3.7097 O
-20.2654 6.6636 -5.2070 O
```


2 | Computed, not measured: crystalline MgV12Zn6O24 at its relaxed geometry at the PBE with a Hubbard U level of DFT.

- Calculated volume: 11.3 Å³/atom
- Spin magnetization: 26.00 μB/cell
- Calculated density: 4.83 Mg/m³

The structure in POSCAR format:
```
MgV12Zn6O24
1.0
6.0602 0.0179 -0.0108
3.0460 5.3018 -0.1680
9.0805 4.8737 14.9555
Mg V Zn O
1 12 6 24
Cartesian
1.5559 2.4096 -0.0555 Mg
3.0564 3.1040 2.5126 V
6.0656 3.1038 2.5057 V
6.0724 5.0849 7.3818 V
7.6121 5.8461 2.3304 V
7.5981 4.1225 4.9055 V
9.0842 5.0980 7.3771 V
15.1425 7.0512 12.2017 V
7.5653 2.4545 7.4656 V
10.6118 4.3626 12.4113 V
10.5959 6.0370 9.8110 V
12.0932 7.0570 12.1951 V
16.6480 10.0189 14.3653 V
4.5948 5.7196 1.5342 Zn
4.5539 2.3774 5.6152 Zn
13.6277 7.8962 14.6154 Zn
7.5672 4.3192 10.5181 Zn
10.6324 5.8350 4.3357 Zn
13.6316 7.8196 9.1240 Zn
3.0765 1.4907 1.1313 O
4.5592 2.3392 3.6058 O
4.5509 3.8615 1.3815 O
6.0690 1.5101 1.1500 O
6.1788 4.8400 3.5836 O
6.2207 3.3485 6.2076 O
7.6008 2.3867 3.6892 O
7.5890 3.9415 1.2783 O
7.5597 5.7900 6.1715 O
7.5497 4.2171 8.4873 O
9.0131 4.8466 3.6108 O
8.9891 3.4060 6.2445 O
9.1837 6.7916 8.4865 O
9.2535 5.2376 11.1097 O
10.6220 4.3936 8.5522 O
10.6355 5.9758 6.2899 O
10.5614 6.1682 13.3082 O
10.5643 7.7176 11.0001 O
11.9697 6.8456 8.5306 O
12.0040 5.3188 11.1489 O
12.0662 8.6575 13.5036 O
13.6365 7.9446 11.1439 O
13.6534 6.3500 13.3291 O
15.0929 8.7873 13.4745 O
```


Among the structures above, stability is greatest for 2.